First-principles (GGA-PBE) data for a relaxed Li3Dy crystal, as listed in the Materials Project.

Unit cell a=6.5169 b=6.5169 c=5.0946 alpha=90.00 beta=90.00 gamma=120.00
Space group P6_3/mmc (No. 194)
One atom of each set of equivalent atoms:
Li1 0.1510 0.3020 0.2500 x6
Dy1 0.3333 0.6667 0.7500 x2

- Crystal system: hexagonal
- Electronic total energy: -2.371 eV per atom
- Total magnetization: 0.40 μB/f.u.

First-principles (GGA-PBE) data for a relaxed LiDy2Nb2O8 crystal, as listed in the Materials Project.

Unit cell a=6.756 b=10.487 c=6.129 alpha=90.00 beta=122.55 gamma=90.00
Space group C2 (No. 5)
One atom of each set of equivalent atoms:
Li1 0.000 0.000 0.000 x2
Dy1 0.000 0.722 0.000 x2
Dy2 0.000 0.997 0.500 x2
Nb1 0.000 0.261 0.000 x2
Nb2 0.000 0.483 0.500 x2
O1 0.111 0.584 0.334 x4
O2 0.114 0.131 0.860 x4
O3 0.212 0.851 0.819 x4
O4 0.217 0.892 0.289 x4

- E above lowest polymorph: 35 meV per atom
- Crystal system: monoclinic
- Electronic total energy: -8.251 eV per atom
- Total magnetization: 1.00 μB/f.u.

First-principles (GGA-PBE) data for a relaxed LiDy2Nb2O8 crystal, as listed in the Materials Project.

Unit cell a=5.938 b=6.115 c=6.270 alpha=112.46 beta=102.05 gamma=109.53
Space group P1 (No. 1)
One atom of each set of equivalent atoms:
Li1 0.000 0.000 0.000 x1
Dy1 0.083 0.977 0.469 x1
Dy2 0.493 0.645 0.561 x1
Nb1 0.017 0.454 0.901 x1
Nb2 0.587 0.198 0.128 x1
O1 0.217 0.656 0.251 x1
O2 0.246 0.433 0.724 x1
O3 0.328 0.186 0.281 x1
O4 0.370 0.977 0.778 x1
O5 0.732 0.583 0.318 x1
O6 0.806 0.066 0.220 x1
O7 0.823 0.612 0.814 x1
O8 0.864 0.059 0.734 x1

- E above lowest polymorph: 0 meV per atom
- Crystal system: triclinic
- Electronic total energy: -8.286 eV per atom
- Total magnetization: 1.00 μB/f.u.

First-principles (GGA-PBE) data for a relaxed LiDyO2 crystal, as listed in the Materials Project.

Unit cell a=11.254 b=3.391 c=5.327 alpha=90.00 beta=90.00 gamma=90.00
Space group Pnma (No. 62)
One atom of each set of equivalent atoms:
Li1 0.067 0.250 0.098 x4
Dy1 0.141 0.750 0.547 x4
O1 0.026 0.250 0.741 x4
O2 0.206 0.250 0.311 x4

- Crystal system: orthorhombic
- Electronic total energy: -7.051 eV per atom

no.,energy relative to the elements (eV/atom)
1,0.213
2,-3.220
3,-3.254
4,-3.292